First-principles (PBE with a Hubbard U) data for crystalline Li9Co7O16 at its relaxed geometry, as listed in the Materials Project database.

Calculated values
Space group: P-1
Total DFT energy (no corrections), Ha/atom: -0.2050
E above lowest polymorph, eV per atom: 0.040

Cell lengths 4.954, 5.808, 9.740 Å; angles 98.53, 94.62, 89.59 degrees
Positions (direct):
1 Co 0.251 0.627 0.499
2 Co 0.999 0.754 0.000
3 O 0.846 0.974 0.892
4 O 0.692 0.756 0.107
5 O 0.059 0.848 0.379
6 O 0.941 0.152 0.621
7 O 0.307 0.702 0.893
8 Li 0.376 0.308 0.245
9 Li 0.129 0.437 0.753
10 O 0.552 0.595 0.382
11 O 0.448 0.405 0.618
12 O 0.185 0.526 0.107
13 Li 0.374 0.814 0.245
14 Co 0.250 0.123 0.501
15 Li 0.626 0.186 0.755
16 O 0.057 0.342 0.383
17 O 0.693 0.298 0.107
18 Li 0.500 0.000 0.000
19 Co 0.750 0.877 0.499
20 O 0.815 0.474 0.893
21 O 0.154 0.026 0.108
22 O 0.562 0.091 0.378
23 Li 0.624 0.692 0.755
24 O 0.438 0.909 0.622
25 O 0.943 0.658 0.617
26 Co 0.001 0.246 0.000
27 Li 0.871 0.563 0.247
28 Li 0.870 0.061 0.245
29 Co 0.500 0.500 0.000
30 Co 0.749 0.373 0.501
31 O 0.308 0.244 0.893
32 Li 0.130 0.939 0.755

=====

First-principles (PBE with a Hubbard U) data for crystalline Sr3MgCo2S2O5 at its relaxed geometry, as listed in the Materials Project database.

Calculated values
Space group: I-4m2
Total DFT energy (no corrections), Ha/atom: -0.2062

Cell lengths 14.286, 14.286, 14.286 Å; angles 164.43, 164.43, 22.09 degrees
Positions (direct):
1 O 0.922 0.422 0.500
2 Mg 0.750 0.250 0.500
3 Co 0.069 0.069 0.000
4 Sr 0.363 0.363 0.000
5 O 0.077 0.577 0.500
6 Sr 0.500 0.500 0.000
7 Co 0.931 0.931 0.000
8 Sr 0.637 0.637 0.000
9 S 0.807 0.807 0.000
10 O 0.000 0.000 0.000
11 S 0.193 0.193 0.000
12 O 0.578 0.078 0.500
13 O 0.423 0.923 0.500

=====

First-principles (PBE with a Hubbard U) data for crystalline Li3FeO4 at its relaxed geometry, as listed in the Materials Project database.

Calculated values
Space group: Aea2
Total DFT energy (no corrections), Ha/atom: -0.1976
E above lowest polymorph, eV per atom: 0.052

Cell lengths 5.207, 5.770, 5.207 Å; angles 89.99, 67.40, 90.04 degrees
Positions (direct):
1 O 0.299 0.500 0.300
2 O 0.722 0.500 0.722
3 O 0.767 0.769 0.227
4 O 0.222 0.000 0.222
5 Li 0.469 0.000 0.469
6 O 0.800 0.000 0.799
7 Li 0.969 0.500 0.969
8 Li 0.496 0.740 0.007
9 O 0.728 0.270 0.268
10 Li 0.506 0.241 0.996
11 O 0.268 0.730 0.728
12 Fe 0.513 0.500 0.512
13 Li 0.006 0.260 0.496
14 Li 0.996 0.759 0.506
15 Fe 0.012 0.000 0.012
16 O 0.227 0.231 0.767

=====

First-principles (PBE with a Hubbard U) data for crystalline BaW4O7 at its relaxed geometry, as listed in the Materials Project database.

Calculated values
Space group: P6_3mc
Total DFT energy (no corrections), Ha/atom: -0.2478

Cell lengths 6.835, 6.835, 11.077 Å; angles 90.00, 90.00, 120.00 degrees
Positions (direct):
1 O 0.520 0.480 0.723
2 W 0.614 0.807 0.695
3 W 0.386 0.193 0.195
4 O 0.480 0.520 0.223
5 O 0.726 0.863 0.532
6 W 0.807 0.193 0.195
7 O 0.520 0.040 0.723
8 O 0.000 0.000 0.742
9 O 0.000 0.000 0.242
10 O 0.480 0.960 0.223
11 O 0.137 0.863 0.532
12 O 0.863 0.137 0.032
13 O 0.274 0.137 0.032
14 W 0.807 0.614 0.195
15 Ba 0.667 0.333 0.542
16 O 0.137 0.274 0.532
17 W 0.193 0.807 0.695
18 W 0.000 0.000 0.419
19 Ba 0.333 0.667 0.042
20 O 0.040 0.520 0.223
21 W 0.193 0.386 0.695
22 W 0.000 0.000 0.919
23 O 0.960 0.480 0.723
24 O 0.863 0.726 0.032

=====

First-principles (PBE with a Hubbard U) data for crystalline Fe5CuP6O24 at its relaxed geometry, as listed in the Materials Project database.

Calculated values
Space group: R3
Total DFT energy (no corrections), Ha/atom: -0.2544

Cell lengths 8.388, 8.388, 8.388 Å; angles 62.12, 62.12, 62.12 degrees
Positions (direct):
1 O 0.995 0.393 0.174
2 P 0.048 0.454 0.750
3 O 0.748 0.563 0.402
4 O 0.016 0.608 0.819
5 O 0.323 0.106 0.505
6 O 0.750 0.095 0.941
7 O 0.893 0.499 0.675
8 O 0.060 0.251 0.904
9 O 0.393 0.174 0.995
10 P 0.951 0.548 0.248
11 O 0.499 0.675 0.893
12 O 0.402 0.748 0.563
13 O 0.819 0.016 0.608
14 Fe 0.646 0.646 0.646
15 O 0.904 0.060 0.251
16 O 0.174 0.995 0.393
17 P 0.454 0.750 0.048
18 O 0.596 0.252 0.435
19 O 0.675 0.893 0.499
20 O 0.251 0.904 0.060
21 Fe 0.500 0.500 0.500
22 Fe 0.999 0.999 0.999
23 O 0.106 0.505 0.323
24 Fe 0.353 0.353 0.353
25 Fe 0.145 0.145 0.145
26 O 0.941 0.750 0.095
27 P 0.750 0.048 0.454
28 Cu 0.854 0.854 0.854
29 P 0.248 0.951 0.548
30 P 0.548 0.248 0.951
31 O 0.505 0.323 0.106
32 O 0.563 0.402 0.748
33 O 0.095 0.941 0.750
34 O 0.252 0.435 0.596
35 O 0.435 0.596 0.252
36 O 0.608 0.819 0.016

=====

First-principles (PBE with a Hubbard U) data for crystalline MnH7C3NO6 at its relaxed geometry, as listed in the Materials Project database.

Calculated values
Space group: P6_3
Total DFT energy (no corrections), Ha/atom: -0.2318
E above lowest polymorph, eV per atom: 0.000

Cell lengths 8.688, 12.847, 12.846 Å; angles 120.00, 90.00, 90.00 degrees
Positions (direct):
1 H 0.786 0.380 0.217
2 H 0.359 0.843 0.125
3 H 0.859 0.125 0.282
4 C 0.311 0.714 0.851
5 O 0.728 0.167 0.429
6 C 0.344 0.471 0.517
7 H 0.286 0.217 0.836
8 H 0.137 0.000 0.000
9 Mn 0.580 0.005 0.336
10 C 0.844 0.517 0.046
11 N 0.519 0.000 0.000
12 O 0.934 0.158 0.725
13 H 0.981 0.939 0.027
14 H 0.481 0.061 0.973
15 H 0.371 0.500 0.451
16 H 0.675 0.755 0.363
17 O 0.224 0.059 0.827
18 O 0.228 0.738 0.167
19 O 0.429 0.762 0.831
20 H 0.786 0.783 0.164
21 H 0.175 0.245 0.637
22 O 0.434 0.433 0.158
23 O 0.728 0.571 0.739
24 N 0.019 0.000 0.000
25 O 0.228 0.833 0.571
26 H 0.175 0.392 0.755
27 C 0.844 0.529 0.483
28 O 0.724 0.232 0.059
29 Mn 0.580 0.664 0.669
30 H 0.871 0.500 0.549
31 Mn 0.080 0.336 0.331
32 H 0.359 0.875 0.718
33 H 0.981 0.973 0.913
34 C 0.842 0.188 0.379
35 H 0.674 0.273 0.579
36 H 0.286 0.620 0.783
37 O 0.929 0.238 0.169
38 O 0.929 0.931 0.762
39 Mn 0.080 0.995 0.664
40 C 0.342 0.379 0.191
41 H 0.519 0.667 0.333
42 N 0.135 0.667 0.333
43 C 0.342 0.809 0.188
44 O 0.931 0.495 0.393
45 N 0.637 0.667 0.333
46 O 0.434 0.842 0.275
47 H 0.517 0.333 0.667
48 O 0.228 0.429 0.261
49 C 0.842 0.191 0.812
50 H 0.675 0.608 0.245
51 C 0.344 0.046 0.529
52 N 0.635 0.333 0.667
53 C 0.344 0.483 0.954
54 O 0.224 0.091 0.595
55 C 0.811 0.864 0.714
56 C 0.342 0.812 0.621
57 H 0.017 0.667 0.333
58 H 0.019 0.333 0.667
59 O 0.934 0.275 0.433
60 C 0.844 0.954 0.471
61 H 0.359 0.282 0.157
62 H 0.371 0.548 0.048
63 O 0.724 0.496 0.091
64 O 0.431 0.505 0.607
65 H 0.859 0.157 0.875
66 H 0.371 0.952 0.500
67 H 0.174 0.579 0.306
68 O 0.934 0.567 0.842
69 C 0.811 0.851 0.136
70 H 0.859 0.718 0.843
71 O 0.724 0.909 0.405
72 O 0.431 0.393 0.898
73 O 0.724 0.595 0.504
74 C 0.811 0.286 0.149
75 C 0.842 0.621 0.809
76 H 0.175 0.363 0.608
77 H 0.871 0.048 0.500
78 O 0.224 0.173 0.232
79 N 0.137 0.333 0.667
80 H 0.675 0.637 0.392
81 O 0.724 0.827 0.768
82 H 0.674 0.421 0.694
83 Mn 0.580 0.331 0.995
84 H 0.637 0.000 0.000
85 H 0.786 0.836 0.620
86 H 0.674 0.306 0.727
87 H 0.481 0.913 0.939
88 O 0.224 0.504 0.909
89 Mn 0.080 0.669 0.005
90 O 0.931 0.607 0.102
91 O 0.429 0.169 0.931
92 O 0.434 0.725 0.567
93 O 0.931 0.898 0.505
94 O 0.728 0.262 0.833
95 C 0.311 0.136 0.286
96 H 0.481 0.027 0.087
97 C 0.311 0.149 0.864
98 O 0.224 0.405 0.496
99 H 0.174 0.694 0.273
100 H 0.174 0.727 0.421
101 H 0.286 0.164 0.380
102 O 0.724 0.941 0.173
103 O 0.431 0.102 0.495
104 O 0.429 0.069 0.238
105 H 0.981 0.087 0.061
106 O 0.929 0.831 0.069
107 O 0.224 0.768 0.941
108 H 0.871 0.452 0.952

=====

First-principles (PBE with a Hubbard U) data for crystalline CaMnF6 at its relaxed geometry, as listed in the Materials Project database.

Calculated values
Space group: R-3
Total DFT energy (no corrections), Ha/atom: -0.2012

Cell lengths 5.728, 5.728, 5.728 Å; angles 57.99, 57.99, 57.99 degrees
Positions (direct):
1 F 0.686 0.870 0.219
2 Ca 0.500 0.500 0.500
3 F 0.130 0.781 0.314
4 Mn 0.000 0.000 0.000
5 F 0.870 0.219 0.686
6 F 0.314 0.130 0.781
7 F 0.219 0.686 0.870
8 F 0.781 0.314 0.130

=====

First-principles (PBE with a Hubbard U) data for crystalline TiCrP2O8 at its relaxed geometry, as listed in the Materials Project database.

Calculated values
Space group: P1
Total DFT energy (no corrections), Ha/atom: -0.2877

Cell lengths 8.594, 8.607, 8.636 Å; angles 60.19, 61.08, 60.06 degrees
Positions (direct):
1 O 0.743 0.442 0.231
2 P 0.252 0.956 0.250
3 O 0.431 0.992 0.192
4 O 0.770 0.056 0.914
5 O 0.759 0.915 0.268
6 O 0.928 0.692 0.498
7 Ti 0.433 0.857 0.853
8 O 0.569 0.620 0.003
9 O 0.266 0.760 0.415
10 O 0.730 0.240 0.585
11 O 0.243 0.085 0.730
12 P 0.746 0.751 0.458
13 O 0.570 0.003 0.811
14 Cr 0.497 0.501 0.501
15 O 0.071 0.117 0.310
16 P 0.255 0.249 0.538
17 O 0.229 0.945 0.087
18 O 0.432 0.381 0.992
19 O 0.765 0.262 0.059
20 Cr 0.572 0.142 0.144
21 P 0.750 0.457 0.041
22 Ti 0.063 0.645 0.648
23 Cr 0.000 0.999 0.001
24 O 0.071 0.308 0.501
25 O 0.073 0.500 0.122
26 O 0.431 0.197 0.380
27 P 0.251 0.540 0.960
28 P 0.749 0.045 0.751
29 Ti 0.937 0.356 0.352
30 O 0.261 0.415 0.562
31 O 0.928 0.885 0.689
32 O 0.236 0.736 0.942
33 O 0.735 0.585 0.441
34 O 0.253 0.561 0.769
35 O 0.927 0.499 0.881
36 O 0.571 0.806 0.621

=====

First-principles (PBE with a Hubbard U) data for crystalline Ca8TiMn7O23 at its relaxed geometry, as listed in the Materials Project database.

Calculated values
Space group: P4mm
Total DFT energy (no corrections), Ha/atom: -0.2595
E above lowest polymorph, eV per atom: 0.049

Cell lengths 7.652, 7.652, 7.650 Å; angles 90.00, 90.00, 90.00 degrees
Positions (direct):
1 O 0.000 0.000 0.755
2 O 0.749 0.500 0.503
3 Mn 0.000 0.500 0.006
4 O 0.750 0.500 0.998
5 O 0.500 0.749 0.503
6 O 0.000 0.500 0.751
7 O 0.752 0.000 0.026
8 Ca 0.263 0.737 0.251
9 O 0.500 0.250 0.998
10 Ca 0.738 0.738 0.744
11 Mn 0.000 0.000 0.499
12 Mn 0.500 0.500 0.000
13 Ca 0.262 0.738 0.744
14 Mn 0.500 0.000 0.498
15 Ca 0.262 0.262 0.744
16 O 0.500 0.000 0.751
17 O 0.251 0.500 0.503
18 Ca 0.738 0.262 0.744
19 O 0.500 0.500 0.750
20 O 0.000 0.752 0.477
21 O 0.000 0.500 0.251
22 O 0.500 0.251 0.503
23 Ca 0.737 0.263 0.251
24 O 0.250 0.500 0.998
25 Ca 0.263 0.263 0.251
26 Mn 0.500 0.000 0.006
27 O 0.000 0.248 0.026
28 Mn 0.000 0.500 0.498
29 O 0.000 0.248 0.477
30 Ti 0.000 0.000 0.986
31 O 0.752 0.000 0.477
32 Mn 0.500 0.500 0.500
33 Ca 0.737 0.737 0.251
34 O 0.500 0.500 0.250
35 O 0.500 0.000 0.251
36 O 0.500 0.750 0.998
37 O 0.248 0.000 0.026
38 O 0.000 0.752 0.026
39 O 0.248 0.000 0.477

=====

First-principles (PBE with a Hubbard U) data for crystalline Li2VCrO4 at its relaxed geometry, as listed in the Materials Project database.

Calculated values
Space group: Cm
Total DFT energy (no corrections), Ha/atom: -0.2536
E above lowest polymorph, eV per atom: 0.036

Cell lengths 4.071, 7.845, 5.294 Å; angles 93.99, 112.61, 105.04 degrees
Positions (direct):
1 O 0.881 0.120 0.643
2 Li 0.129 0.369 0.889
3 O 0.766 0.745 0.787
4 O 0.988 0.509 0.467
5 V 0.999 0.000 0.999
6 Cr 0.875 0.627 0.124
7 O 0.118 0.881 0.356
8 Cr 0.373 0.126 0.620
9 Li 0.245 0.756 0.735
10 O 0.253 0.236 0.271
11 O 0.489 0.013 0.964
12 Li 0.754 0.245 0.262
13 O 0.385 0.614 0.155
14 Li 0.628 0.874 0.383
15 O 0.615 0.387 0.842
16 V 0.501 0.499 0.503

=====

First-principles (PBE with a Hubbard U) data for crystalline BaV8O16 at its relaxed geometry, as listed in the Materials Project database.

Calculated values
Space group: P1
Total DFT energy (no corrections), Ha/atom: -0.2847

Cell lengths 5.780, 7.397, 7.401 Å; angles 87.81, 78.73, 78.75 degrees
Positions (direct):
1 O 0.078 0.647 0.044
2 O 0.099 0.956 0.647
3 O 0.080 0.374 0.294
4 O 0.594 0.956 0.644
5 O 0.226 0.706 0.375
6 O 0.916 0.622 0.705
7 O 0.416 0.626 0.705
8 V 0.175 0.482 0.815
9 V 0.911 0.817 0.527
10 V 0.820 0.527 0.182
11 O 0.730 0.704 0.377
12 O 0.395 0.045 0.353
13 O 0.923 0.355 0.956
14 V 0.081 0.185 0.482
15 V 0.584 0.182 0.474
16 V 0.415 0.816 0.517
17 Ba 0.212 0.000 0.001
18 O 0.269 0.294 0.625
19 O 0.417 0.353 0.956
20 O 0.572 0.645 0.044
21 O 0.767 0.295 0.623
22 O 0.581 0.378 0.296
23 O 0.901 0.044 0.355
24 V 0.674 0.474 0.818
25 V 0.323 0.517 0.185

=====

| no. | ΔH_f (0 K) (meV/atom) |
| --- | --- |
| 1 | -1715.4 |
| 2 | -2059.1 |
| 3 | -1752.6 |
| 4 | -1258.2 |
| 5 | -2201.9 |
| 6 | -1149.3 |
| 7 | -3197.9 |
| 8 | -2790.5 |
| 9 | -2589.8 |
| 10 | -2413.4 |
| 11 | -2579.5 |